(1)
VASP calculation (PBE) on a relaxed structure of LiH6BrO7.

The maximum piezoelectric response is 0.11 C/m2. For the MP2020-corrected energy, the calculation gives -0.3657 Ry per atom. The value obtained for the energy relative to the elements is -1.07 eV per atom. As for the total DFT energy (no corrections): -4.655 eV/atom. The magnetization comes out at 0.0 Bohr magnetons per cell.

a b c (Å): 7.8985 7.8985 5.6974
angles (deg): 90.00 90.00 120.00
Sites, in units of the cell vectors:
Br 0.3333 0.6667 0.0022
O 0.7611 0.8806 0.4537
Li 0.0000 0.0000 0.2066
H 0.2617 0.3258 0.4487
H 0.7383 0.6742 0.9487
O 0.8942 0.4471 0.4021
O 0.3333 0.6667 0.2909
H 0.3258 0.0640 0.9487
O 0.8806 0.1194 0.9537
Br 0.6667 0.3333 0.5022
O 0.4471 0.8942 0.9021
O 0.6667 0.3333 0.7909
O 0.5529 0.4471 0.4021
O 0.2389 0.1194 0.9537
H 0.6742 0.9360 0.4487
H 0.9360 0.2617 0.9487
O 0.4471 0.5529 0.9021
H 0.9360 0.6742 0.9487
H 0.2617 0.9360 0.4487
O 0.8806 0.7611 0.9537
O 0.1194 0.8806 0.4537
Li 0.0000 0.0000 0.7066
H 0.7383 0.0640 0.9487
H 0.0640 0.7383 0.4487
O 0.1194 0.2389 0.4537
H 0.6742 0.7383 0.4487
O 0.1058 0.5529 0.9021
H 0.3258 0.2617 0.9487
O 0.5529 0.1058 0.4021
H 0.0640 0.3258 0.4487


(2)
VASP calculation (PBE) on a relaxed structure of LiH2BrO.

For the MP2020-corrected energy, the calculation gives -0.3273 Ry per atom. The value obtained for the energy relative to the elements is -1.40 eV per atom. As for the total DFT energy (no corrections): -4.316 eV/atom. The magnetization comes out at 0.0 Bohr magnetons per cell.

a b c (Å): 5.7734 5.7734 8.0465
angles (deg): 90.00 90.00 90.51
Sites, in units of the cell vectors:
O 0.7446 0.2554 0.4997
H 0.6006 0.2098 0.9413
O 0.2554 0.7446 0.9997
H 0.2098 0.6006 0.0587
H 0.7902 0.3994 0.9413
H 0.6006 0.2098 0.5587
Li 0.0000 0.0000 0.0000
Li 0.6828 0.3172 0.2500
O 0.7446 0.2554 0.0003
Br 0.7227 0.7803 0.2500
H 0.3994 0.7902 0.4413
O 0.2554 0.7446 0.5003
Br 0.2197 0.2773 0.2500
H 0.2098 0.6006 0.4413
Li 0.3172 0.6828 0.7500
Br 0.2773 0.2197 0.7500
Br 0.7803 0.7227 0.7500
Li 0.0000 0.0000 0.5000
H 0.7902 0.3994 0.5587
H 0.3994 0.7902 0.0587


(3)
VASP calculation (PBE) on a relaxed structure of MgH6Br2.

For the MP2020-corrected energy, the calculation gives -0.2091 Ry per atom. The value obtained for the energy relative to the elements is -0.04 eV per atom. As for the total DFT energy (no corrections): -2.726 eV/atom. The magnetization comes out at 0.0 Bohr magnetons per cell.

a b c (Å): 7.2901 4.5106 4.5106
angles (deg): 87.29 75.22 75.22
Sites, in units of the cell vectors:
H 0.2146 0.9012 0.5743
Br 0.2160 0.2291 0.2291
H 0.7854 0.0988 0.4257
H 0.7854 0.4257 0.0988
H 0.2146 0.5743 0.9012
Br 0.7840 0.7709 0.7709
H 0.7739 0.2729 0.2729
H 0.2261 0.7271 0.7271
Mg 0.0000 0.0000 0.0000


(4)
VASP calculation (PBE) on a relaxed structure of MgH12Br2O12.

For the MP2020-corrected energy, the calculation gives -0.3726 Ry per atom. The value obtained for the energy relative to the elements is -1.18 eV per atom. As for the total DFT energy (no corrections): -4.765 eV/atom. The magnetization comes out at 0.0 Bohr magnetons per cell.

a b c (Å): 10.5461 10.5461 10.5461
angles (deg): 90.00 90.00 90.00
Sites, in units of the cell vectors:
H 0.9683 0.7453 0.4211
Mg 0.0000 0.5000 0.5000
H 0.4211 0.9683 0.7453
O 0.0402 0.5359 0.6921
H 0.5306 0.0739 0.7412
H 0.2453 0.0789 0.0317
H 0.5789 0.4683 0.7547
O 0.3290 0.6397 0.3326
H 0.7588 0.4694 0.5739
O 0.0402 0.9641 0.1921
O 0.5402 0.5359 0.8079
H 0.7547 0.9211 0.9683
H 0.4211 0.5317 0.2453
O 0.8326 0.3290 0.8603
O 0.6397 0.1674 0.8290
O 0.8326 0.1710 0.3603
H 0.7453 0.0789 0.4683
H 0.5739 0.7412 0.9694
O 0.1674 0.6710 0.1397
H 0.4694 0.9261 0.2588
O 0.8290 0.8603 0.6674
O 0.6674 0.6710 0.3603
Br 0.7476 0.7524 0.2476
H 0.0789 0.0317 0.2453
H 0.9211 0.9683 0.7547
Br 0.7524 0.2476 0.7476
O 0.6397 0.3326 0.3290
H 0.9694 0.9261 0.2412
Br 0.2476 0.7476 0.7524
O 0.9641 0.3079 0.5402
O 0.1710 0.1397 0.3326
Br 0.2524 0.2476 0.7524
O 0.4641 0.3079 0.9598
O 0.6710 0.1397 0.1674
H 0.9211 0.5317 0.2547
H 0.4683 0.7547 0.5789
H 0.0306 0.0739 0.7588
O 0.6921 0.0402 0.5359
O 0.3326 0.3290 0.6397
H 0.9683 0.7547 0.9211
H 0.4694 0.5739 0.7588
H 0.5306 0.4261 0.2412
O 0.1397 0.3326 0.1710
H 0.7588 0.0306 0.0739
H 0.7412 0.9694 0.5739
H 0.2412 0.9694 0.9261
H 0.0306 0.4261 0.2588
O 0.9641 0.1921 0.0402
O 0.5359 0.6921 0.0402
H 0.2547 0.5789 0.0317
H 0.2588 0.4694 0.9261
O 0.1921 0.0402 0.9641
H 0.7412 0.5306 0.0739
O 0.1674 0.8290 0.6397
H 0.9261 0.2412 0.9694
H 0.4261 0.2412 0.5306
Br 0.2524 0.2524 0.2524
O 0.6674 0.8290 0.8603
H 0.9694 0.5739 0.7412
O 0.0359 0.6921 0.4598
O 0.3079 0.5402 0.9641
H 0.0317 0.2547 0.5789
O 0.4641 0.1921 0.4598
O 0.8079 0.9598 0.0359
O 0.4598 0.0359 0.6921
H 0.7453 0.4211 0.9683
H 0.5317 0.2453 0.4211
O 0.0359 0.8079 0.9598
H 0.2547 0.9211 0.5317
O 0.1921 0.4598 0.4641
O 0.8603 0.6674 0.8290
O 0.5359 0.8079 0.5402
Br 0.7476 0.7476 0.7476
Mg 0.0000 0.0000 0.0000
Mg 0.5000 0.0000 0.5000
O 0.4598 0.4641 0.1921
O 0.5402 0.9641 0.3079
H 0.4261 0.2588 0.0306
O 0.6710 0.3603 0.6674
H 0.0789 0.4683 0.7453
H 0.5789 0.0317 0.2547
H 0.9261 0.2588 0.4694
O 0.6921 0.4598 0.0359
Mg 0.5000 0.5000 0.0000
O 0.3290 0.8603 0.8326
O 0.9598 0.0359 0.8079
H 0.0317 0.2453 0.0789
O 0.1397 0.1674 0.6710
O 0.3603 0.8326 0.1710
O 0.8290 0.6397 0.1674
O 0.3603 0.6674 0.6710
Br 0.2476 0.7524 0.2524
H 0.0739 0.7588 0.0306
H 0.2588 0.0306 0.4261
O 0.9598 0.4641 0.3079
H 0.7547 0.5789 0.4683
H 0.0739 0.7412 0.5306
O 0.3326 0.1710 0.1397
H 0.5739 0.7588 0.4694
H 0.4683 0.7453 0.0789
H 0.5317 0.2547 0.9211
H 0.2453 0.4211 0.5317
O 0.1710 0.3603 0.8326
Br 0.7524 0.2524 0.2476
O 0.8079 0.5402 0.5359
O 0.3079 0.9598 0.4641
H 0.2412 0.5306 0.4261
O 0.8603 0.8326 0.3290


(5)
VASP calculation (PBE) on a relaxed structure of MgH18Br2O9.

For the MP2020-corrected energy, the calculation gives -0.3677 Ry per atom. The value obtained for the energy relative to the elements is -1.32 eV per atom. As for the total DFT energy (no corrections): -4.797 eV/atom. The magnetization comes out at 0.0 Bohr magnetons per cell.

a b c (Å): 6.5225 6.8600 16.1562
angles (deg): 92.41 90.00 118.39
Sites, in units of the cell vectors:
O 0.2122 0.0010 0.5522
Mg 0.5000 0.0000 0.0000
H 0.2748 0.5501 0.0428
H 0.2717 0.5628 0.9449
Br 0.8223 0.6556 0.6779
H 0.2043 0.1355 0.5735
H 0.7252 0.4499 0.9572
O 0.8106 0.6540 0.8841
O 0.6492 0.0210 0.6214
H 0.8249 0.6162 0.8254
Br 0.8332 0.6556 0.1779
O 0.6364 0.0000 0.2500
O 0.3718 0.0210 0.1214
O 0.3636 0.0000 0.7500
H 0.2911 0.5628 0.4449
O 0.3342 0.6545 0.4972
Br 0.1668 0.3444 0.8221
O 0.3203 0.6545 0.9972
H 0.7957 0.8645 0.4265
H 0.7851 0.8776 0.0826
H 0.4745 0.0281 0.1687
O 0.3508 0.9790 0.3786
O 0.8434 0.6540 0.3841
H 0.3302 0.1225 0.7668
H 0.7089 0.4372 0.5551
H 0.0687 0.8645 0.9265
H 0.2149 0.1224 0.9174
O 0.7878 0.9990 0.4478
O 0.1894 0.3460 0.1159
H 0.9074 0.1224 0.4174
H 0.2877 0.2731 0.1183
O 0.6658 0.3455 0.5028
H 0.4464 0.9719 0.3313
H 0.9313 0.1355 0.0735
H 0.7912 0.6162 0.3254
Br 0.1777 0.3444 0.3221
H 0.6945 0.9071 0.6352
H 0.2753 0.5501 0.5428
H 0.2088 0.3838 0.6746
O 0.6282 0.9790 0.8786
O 0.7887 0.0010 0.0522
H 0.2126 0.9071 0.1352
H 0.9854 0.2731 0.6183
H 0.2077 0.8775 0.7332
O 0.6797 0.3455 0.0028
H 0.7283 0.4372 0.0551
H 0.7923 0.1225 0.2668
H 0.3055 0.0929 0.3648
H 0.1751 0.3838 0.1746
H 0.5255 0.9719 0.8313
H 0.0926 0.8776 0.5826
H 0.0146 0.7269 0.3817
H 0.7874 0.0929 0.8648
H 0.7123 0.7269 0.8817
O 0.2113 0.9990 0.9478
H 0.5536 0.0281 0.6687
Mg 0.5000 0.0000 0.5000
O 0.1566 0.3460 0.6159
H 0.7247 0.4499 0.4572
H 0.6698 0.8775 0.2332


(6)
VASP calculation (PBE) on a relaxed structure of ReH8Br6N2.

For the MP2020-corrected energy, the calculation gives -0.3240 Ry per atom. The value obtained for the energy relative to the elements is -0.52 eV per atom. As for the total DFT energy (no corrections): -4.366 eV/atom. The magnetization comes out at 3.0 Bohr magnetons per cell.

a b c (Å): 7.3921 7.3921 7.3921
angles (deg): 60.00 60.00 60.00
Sites, in units of the cell vectors:
Br 0.2410 0.2410 0.7590
Br 0.7590 0.7590 0.2410
H 0.6929 0.9213 0.6929
H 0.0787 0.3071 0.3071
Br 0.2410 0.7590 0.7590
H 0.6929 0.6929 0.9213
N 0.7500 0.7500 0.7500
H 0.3071 0.3071 0.3071
Br 0.2410 0.7590 0.2410
H 0.3071 0.3071 0.0787
Re 0.0000 0.0000 0.0000
N 0.2500 0.2500 0.2500
Br 0.7590 0.2410 0.7590
H 0.3071 0.0787 0.3071
H 0.6929 0.6929 0.6929
H 0.9213 0.6929 0.6929
Br 0.7590 0.2410 0.2410


(7)
VASP calculation (PBE) on a relaxed structure of H15RhBr3N5.

For the MP2020-corrected energy, the calculation gives -0.3614 Ry per atom. The value obtained for the energy relative to the elements is -0.55 eV per atom. As for the total DFT energy (no corrections): -4.841 eV/atom.

a b c (Å): 7.1176 11.0960 14.1014
angles (deg): 90.00 90.00 90.00
Sites, in units of the cell vectors:
H 0.6025 0.6744 0.0327
N 0.9488 0.2500 0.1985
H 0.3099 0.0282 0.1138
Br 0.8476 0.9987 0.6482
H 0.3975 0.1744 0.9673
H 0.2980 0.2500 0.2813
Br 0.4434 0.7500 0.5340
N 0.4488 0.7500 0.3015
H 0.1343 0.6746 0.8113
Rh 0.8265 0.7500 0.8969
H 0.9933 0.2500 0.2675
Br 0.8476 0.5013 0.6482
H 0.5527 0.6743 0.7852
H 0.5067 0.2500 0.7675
N 0.5512 0.2500 0.6985
H 0.8099 0.5282 0.3862
N 0.1371 0.2500 0.7166
H 0.3657 0.8254 0.3113
H 0.3099 0.4718 0.1138
H 0.6901 0.5282 0.8862
H 0.0283 0.7500 0.4555
H 0.5911 0.9741 0.3465
H 0.6326 0.9699 0.4628
Rh 0.6735 0.7500 0.3969
H 0.1901 0.0282 0.6138
H 0.4473 0.3257 0.2148
H 0.8975 0.6744 0.5327
H 0.1025 0.1744 0.4673
N 0.3234 0.0616 0.6022
Rh 0.1735 0.2500 0.1031
Br 0.6524 0.9987 0.1482
N 0.5986 0.7500 0.9900
N 0.3629 0.2500 0.2166
Br 0.5566 0.2500 0.4660
H 0.4473 0.1743 0.2148
N 0.3234 0.4384 0.6022
H 0.0527 0.3257 0.7148
Br 0.1524 0.0013 0.3518
H 0.9089 0.9741 0.8465
N 0.0512 0.7500 0.8015
H 0.7980 0.7500 0.2187
H 0.0527 0.1743 0.7148
H 0.0067 0.7500 0.7325
H 0.8099 0.9718 0.3862
Rh 0.3265 0.2500 0.6031
N 0.8234 0.5616 0.8978
H 0.7020 0.7500 0.7187
H 0.8674 0.9699 0.9628
H 0.6343 0.1746 0.6887
H 0.4089 0.0259 0.6535
N 0.4014 0.2500 0.0100
H 0.9717 0.2500 0.5445
H 0.6326 0.5301 0.4628
N 0.1766 0.4384 0.1022
H 0.3674 0.0301 0.5372
H 0.4717 0.7500 0.9555
H 0.0911 0.0259 0.1535
H 0.5911 0.5259 0.3465
Br 0.1524 0.4987 0.3518
Br 0.3476 0.4987 0.8518
H 0.8975 0.8256 0.5327
N 0.8234 0.9384 0.8978
H 0.2020 0.2500 0.7813
H 0.1901 0.4718 0.6138
H 0.3657 0.6746 0.3113
N 0.9014 0.7500 0.4900
H 0.6901 0.9718 0.8862
H 0.8674 0.5301 0.9628
H 0.4089 0.4741 0.6535
H 0.5283 0.2500 0.0445
N 0.8629 0.7500 0.2834
Br 0.0566 0.7500 0.0340
Br 0.6524 0.5013 0.1482
H 0.9473 0.8257 0.2852
N 0.0986 0.2500 0.5100
H 0.6343 0.3254 0.6887
H 0.3674 0.4699 0.5372
H 0.3975 0.3256 0.9673
H 0.4933 0.7500 0.2325
H 0.1326 0.4699 0.0372
H 0.1326 0.0301 0.0372
H 0.9089 0.5259 0.8465
H 0.8657 0.3254 0.1887
N 0.1766 0.0616 0.1022
H 0.0911 0.4741 0.1535
H 0.8657 0.1746 0.1887
N 0.6371 0.7500 0.7834
H 0.1343 0.8254 0.8113
H 0.1025 0.3256 0.4673
Br 0.9434 0.2500 0.9660
H 0.9473 0.6743 0.2852
N 0.6766 0.5616 0.3978
Br 0.3476 0.0013 0.8518
N 0.6766 0.9384 0.3978
H 0.6025 0.8256 0.0327
H 0.5527 0.8257 0.7852


Question: Which formula does entry 7 have?
Answer: H15RhBr3N5